Below is a relaxed structure of CaCoF6, with properties calculated at the PBE+U level.

POSCAR file:
```
CaCoF6
1.0
5.0285 -2.7877 0.0000
5.0285 2.7877 0.0000
3.4830 0.0000 4.5745
Ca Co F
1 1 6
Cartesian
6.7700 0.0000 2.2872 Ca
0.0000 0.0000 0.0000 Co
8.5819 0.5149 1.0121 F
7.8661 -1.8059 3.1306 F
5.9592 -1.2910 0.5990 F
5.6738 1.8059 1.4439 F
4.9580 -0.5149 3.5624 F
7.5807 1.2910 3.9754 F
```

## Properties
- raw total energy (eV per cell) = -38.091
- calculated formation energy (kJ/mol of formula units) = -2113